Compound: KPrMnWO6
Source: the Materials Project database
Functional: PBE with a Hubbard U
Structure: relaxed

Summary:
Spin magnetization ... 0.50 μB/atom
VASP energy ... -7.262 eV/atom
ΔH_f (0 K) ... -2.5147 eV/atom
Calculated density ... 6.37 g/cm3

a = 8.1262 Å, b = 8.1262 Å, c = 8.1262 Å
α = 90.00°, β = 90.00°, γ = 90.00°
Space group F-43m (No. 216)
Inequivalent atoms, fractional coordinates:
K1 0.0000 0.0000 0.0000 (multiplicity 4)
Pr1 0.0000 0.0000 0.5000 (multiplicity 4)
Mn1 0.2500 0.2500 0.2500 (multiplicity 4)
W1 0.2500 0.2500 0.7500 (multiplicity 4)
O1 0.0112 0.2500 0.7500 (multiplicity 24)